Record 1
CuPd | PBE-GGA | optimized geometry

Cell and atoms, written as POSCAR:
```
CuPd
1.0
3.0181 0.0000 0.0000
0.0000 3.0181 0.0000
0.0000 0.0000 3.0181
Cu Pd
1 1
Direct
0.0000 0.0000 0.0000
0.5000 0.5000 0.5000
```

Output
- Space-group type: Pm-3m
- Final energy: -4.76 eV/atom
- Formation enthalpy at 0 K: -0.123 eV/atom
- Calculated density: 10.27 g/cm³



Record 2
CeCd20Pd2 | PBE-GGA | optimized geometry

Cell and atoms, written as POSCAR:
```
CeCd20Pd2
1.0
0.0000 8.0073 8.0073
8.0073 0.0000 8.0073
8.0073 8.0073 0.0000
Ce Cd Pd
2 40 4
Direct
0.1250 0.1250 0.1250
0.8750 0.8750 0.8750
0.0000 0.0000 0.0000
0.0000 0.0000 0.5000
0.0000 0.5000 0.0000
0.0566 0.3228 0.3228
0.0566 0.3228 0.7978
0.0566 0.7978 0.3228
0.2022 0.6772 0.6772
0.2022 0.6772 0.9434
0.2022 0.9434 0.6772
0.2371 0.2371 0.5129
0.2371 0.5129 0.2371
0.2371 0.5129 0.5129
0.3228 0.0566 0.3228
0.3228 0.0566 0.7978
0.3228 0.3228 0.0566
0.3228 0.3228 0.7978
0.3228 0.7978 0.0566
0.3228 0.7978 0.3228
0.4871 0.4871 0.7629
0.4871 0.7629 0.4871
0.4871 0.7629 0.7629
0.5000 0.0000 0.0000
0.5129 0.2371 0.2371
0.5129 0.2371 0.5129
0.5129 0.5129 0.2371
0.6772 0.2022 0.6772
0.6772 0.2022 0.9434
0.6772 0.6772 0.2022
0.6772 0.6772 0.9434
0.6772 0.9434 0.2022
0.6772 0.9434 0.6772
0.7629 0.4871 0.4871
0.7629 0.4871 0.7629
0.7629 0.7629 0.4871
0.7978 0.0566 0.3228
0.7978 0.3228 0.0566
0.7978 0.3228 0.3228
0.9434 0.2022 0.6772
0.9434 0.6772 0.2022
0.9434 0.6772 0.6772
0.0000 0.5000 0.5000
0.5000 0.0000 0.5000
0.5000 0.5000 0.0000
0.5000 0.5000 0.5000
```

Output
- Space-group type: Fd-3m
- Final energy: -1.68 eV/atom
- Formation enthalpy at 0 K: -0.174 eV/atom
- Calculated density: 8.41 g/cm³



Record 3
KPSe3 | PBE-GGA | optimized geometry

Cell and atoms, written as POSCAR:
```
KPSe3
1.0
14.9511 0.0000 0.0000
-7.4756 12.9480 0.0000
0.0000 0.0000 19.2750
K P Se
24 24 72
Direct
0.0249 0.9482 0.0000
0.0296 0.4849 0.0055
0.0510 0.5730 0.3324
0.0518 0.0767 0.3333
0.3084 0.6258 0.5091
0.3110 0.0923 0.5163
0.3151 0.1955 0.1753
0.3174 0.6916 0.1758
0.3742 0.6826 0.8424
0.4097 0.2182 0.8463
0.4270 0.4780 0.6657
0.4553 0.9704 0.6722
0.5151 0.5447 0.3389
0.5163 0.0425 0.3362
0.5220 0.9490 0.9991
0.5262 0.4837 0.0028
0.7812 0.6890 0.1829
0.7818 0.1916 0.1796
0.8045 0.1195 0.5086
0.8084 0.5903 0.5130
0.8805 0.6849 0.8420
0.9077 0.2188 0.8496
0.9233 0.9751 0.6667
0.9575 0.4738 0.6695
0.0912 0.7978 0.6435
0.1033 0.3005 0.6440
0.1272 0.3689 0.2026
0.1292 0.8685 0.2022
0.1315 0.2607 0.5356
0.1331 0.7698 0.5356
0.1972 0.8967 0.3107
0.1997 0.3994 0.3099
0.1997 0.8003 0.9766
0.2022 0.2934 0.9768
0.2302 0.3634 0.8689
0.2417 0.8728 0.8692
0.5946 0.2956 0.6459
0.6006 0.8003 0.6433
0.6309 0.3654 0.2046
0.6311 0.7583 0.5359
0.6346 0.2655 0.5379
0.6366 0.8669 0.2022
0.6995 0.8028 0.9773
0.7010 0.4054 0.3126
0.7044 0.2990 0.9792
0.7066 0.9088 0.3101
0.7345 0.3691 0.8713
0.7393 0.8708 0.8689
0.0170 0.2057 0.1987
0.0170 0.7051 0.1998
0.0244 0.1026 0.5076
0.0329 0.7102 0.9811
0.0349 0.7957 0.3660
0.0391 0.1819 0.9809
0.0397 0.3043 0.3687
0.0489 0.6083 0.5071
0.0707 0.8691 0.4794
0.0746 0.4758 0.1772
0.0782 0.9756 0.1743
0.0885 0.3778 0.4812
0.1299 0.7139 0.8122
0.1309 0.2016 0.8128
0.1428 0.9609 0.6476
0.1539 0.4542 0.8662
0.1787 0.4678 0.6467
0.1887 0.9830 0.8653
0.2043 0.2392 0.6994
0.2047 0.7524 0.6999
0.2476 0.4523 0.0332
0.2646 0.9603 0.0354
0.2730 0.0577 0.3400
0.2779 0.5618 0.3364
0.2839 0.7221 0.0030
0.2861 0.4159 0.1455
0.2891 0.8213 0.3133
0.2893 0.9115 0.1479
0.2898 0.3227 0.3144
0.2949 0.3119 0.5332
0.3003 0.8461 0.5328
0.3103 0.2425 0.0024
0.3917 0.4406 0.8404
0.4012 0.9254 0.8439
0.4360 0.1893 0.6737
0.4382 0.7161 0.6697
0.5242 0.5988 0.5106
0.5322 0.7109 0.9800
0.5405 0.1985 0.1993
0.5412 0.1869 0.9805
0.5422 0.2894 0.3682
0.5458 0.6997 0.1995
0.5477 0.7953 0.3665
0.5492 0.1037 0.5105
0.5544 0.4508 0.1772
0.5594 0.9511 0.1737
0.5700 0.3626 0.4812
0.5841 0.8701 0.4789
0.6222 0.7107 0.8146
0.6374 0.2074 0.8145
0.6457 0.4588 0.6471
0.6580 0.4595 0.8659
0.6773 0.9671 0.6477
0.6881 0.9830 0.8665
0.6957 0.7354 0.7020
0.7106 0.2528 0.7016
0.7472 0.4578 0.0349
0.7532 0.5640 0.3404
0.7575 0.0678 0.3358
0.7608 0.9651 0.0327
0.7846 0.7270 0.0067
0.7926 0.4300 0.1478
0.7943 0.8113 0.5320
0.7984 0.9293 0.1461
0.8015 0.3420 0.5326
0.8107 0.2468 0.0070
0.8131 0.3543 0.3138
0.8181 0.8572 0.3143
0.8963 0.4456 0.8439
0.8974 0.9218 0.8409
0.9322 0.6897 0.6691
0.9423 0.2154 0.6734
```

Output
- Space-group type: P3_1
- Final energy: -3.92 eV/atom
- Formation enthalpy at 0 K: -0.804 eV/atom
- Calculated density: 3.28 g/cm³



Record 4
K2HgAsF6 | PBE-GGA | optimized geometry

Cell and atoms, written as POSCAR:
```
K2HgAsF6
1.0
0.0000 4.6473 4.6473
4.6473 0.0000 4.6473
4.6473 4.6473 0.0000
K Hg As F
2 1 1 6
Direct
0.2500 0.2500 0.2500
0.7500 0.7500 0.7500
0.0000 0.0000 0.0000
0.5000 0.5000 0.5000
0.2843 0.2843 0.7157
0.2843 0.7157 0.2843
0.2843 0.7157 0.7157
0.7157 0.2843 0.2843
0.7157 0.2843 0.7157
0.7157 0.7157 0.2843
```

Output
- Space-group type: Fm-3m
- Final energy: -3.94 eV/atom
- Formation enthalpy at 0 K: -2.352 eV/atom
- Calculated density: 3.87 g/cm³



Look up the final energy of the second one. -1.68 eV/atom



Which of these has the lowest calculated density? KPSe3